Li2MnV4CoO12 | Materials Project | GGA+U | relaxed; energy of formation = -2259 meV/atom
1.0
4.616 5.189 0.000
-4.616 5.189 0.000
0.000 2.012 5.399
Li Mn V Co O
2 1 4 1 12
Direct
0.755 0.245 0.500
0.247 0.753 0.000
0.086 0.914 0.500
0.814 0.603 0.019
0.609 0.796 0.522
0.397 0.186 0.981
0.204 0.391 0.478
0.915 0.085 0.000
0.984 0.802 0.901
0.892 0.354 0.091
0.789 0.977 0.404
0.635 0.648 0.811
0.646 0.108 0.909
0.634 0.644 0.312
0.352 0.365 0.189
0.372 0.906 0.575
0.356 0.366 0.688
0.198 0.016 0.099
0.094 0.628 0.425
0.023 0.211 0.596


Na2Li2CoO4 | Materials Project | GGA+U | relaxed; energy of formation = -1631 meV/atom; polymorph energy (0 for the lowest one) = 0.402 kcal/mol of atoms
1.0
8.392 0.000 0.000
0.000 6.497 0.000
0.000 6.437 7.991
Na Li Co O
8 8 4 16
Direct
0.978 0.243 0.502
0.022 0.757 0.498
0.739 0.264 0.249
0.761 0.264 0.749
0.522 0.243 0.002
0.478 0.757 0.998
0.239 0.736 0.251
0.261 0.736 0.751
0.910 0.690 0.789
0.863 0.761 0.993
0.637 0.761 0.493
0.590 0.690 0.289
0.410 0.310 0.711
0.363 0.239 0.507
0.137 0.239 0.007
0.090 0.310 0.211
0.873 0.794 0.223
0.627 0.794 0.723
0.373 0.206 0.277
0.127 0.206 0.777
0.971 0.558 0.210
0.006 0.026 0.206
0.784 0.600 0.430
0.782 0.923 0.566
0.718 0.923 0.066
0.716 0.600 0.930
0.494 0.026 0.706
0.529 0.558 0.710
0.471 0.442 0.290
0.506 0.974 0.294
0.284 0.400 0.070
0.282 0.077 0.934
0.218 0.077 0.434
0.216 0.400 0.570
0.994 0.974 0.794
0.029 0.442 0.790


Na2Li2CoO4 | Materials Project | GGA+U | relaxed; energy of formation = -1648 meV/atom; polymorph energy (0 for the lowest one) = 0.000 kcal/mol of atoms
1.0
6.585 0.000 0.000
0.041 8.005 0.000
0.164 0.019 8.311
Na Li Co O
8 8 4 16
Direct
0.265 0.489 0.032
0.737 0.493 0.008
0.467 0.789 0.243
0.027 0.219 0.234
0.757 0.999 0.489
0.243 0.001 0.502
0.006 0.741 0.767
0.491 0.242 0.750
0.747 0.515 0.350
0.021 0.706 0.411
0.999 0.268 0.580
0.248 0.488 0.630
0.752 0.484 0.649
0.250 0.989 0.875
0.748 0.991 0.871
0.500 0.763 0.919
0.992 0.780 0.126
0.496 0.280 0.367
0.504 0.729 0.630
0.998 0.235 0.860
0.227 0.786 0.005
0.768 0.792 0.003
0.983 0.571 0.214
0.512 0.453 0.229
0.006 0.923 0.291
0.500 0.069 0.310
0.270 0.291 0.499
0.737 0.306 0.485
0.267 0.712 0.531
0.739 0.697 0.517
0.506 0.928 0.735
0.003 0.043 0.732
0.502 0.558 0.774
0.000 0.446 0.766
0.235 0.219 0.946
0.752 0.222 0.931